Entry 1:
BaCu2P2 (PBE, optimized geometry); space-group type = No. 70; formation energy from the elements = 149 meV/atom
1.0
5.365 0.000 0.000
2.682 11.939 0.000
2.682 0.000 11.108
Ba Cu P
4 8 8
direct
0.375 0.250 0.250
0.375 0.750 0.250
0.375 0.250 0.750
0.875 0.750 0.750
0.026 0.275 0.050
0.924 0.725 0.050
0.699 0.275 0.950
0.724 0.225 0.450
0.351 0.725 0.950
0.826 0.775 0.450
0.051 0.225 0.550
0.399 0.775 0.550
0.775 0.563 0.087
0.138 0.437 0.087
0.663 0.563 0.913
0.975 0.937 0.413
0.424 0.437 0.913
0.612 0.063 0.413
0.087 0.937 0.587
0.326 0.063 0.587

=====

Entry 2:
LiBi2O4 (PBE, optimized geometry); space-group type = No. 130; formation energy from the elements = -1628 meV/atom; energy above the most stable polymorph in this dataset = 0.033 eV per atom
1.0
-7.926 -1.966 0.842
1.581 -7.562 -2.777
1.074 -1.877 5.722
Li Bi O
4 8 16
direct
0.500 0.000 0.057
0.500 0.000 0.557
0.000 0.500 0.943
0.000 0.500 0.443
0.176 0.176 0.250
0.824 0.176 0.750
0.324 0.324 0.750
0.676 0.324 0.250
0.324 0.676 0.250
0.676 0.676 0.750
0.176 0.824 0.750
0.824 0.824 0.250
0.272 0.086 0.589
0.728 0.086 0.089
0.414 0.228 0.089
0.586 0.228 0.589
0.086 0.272 0.911
0.914 0.272 0.411
0.228 0.414 0.411
0.772 0.414 0.911
0.228 0.586 0.911
0.772 0.586 0.411
0.086 0.728 0.411
0.914 0.728 0.911
0.414 0.772 0.589
0.586 0.772 0.089
0.272 0.914 0.089
0.728 0.914 0.589

=====

Entry 3:
LiTi8O16 (PBE, optimized geometry); space-group type = No. 1; formation energy from the elements = -3394 meV/atom; energy above the most stable polymorph in this dataset = 0.000 eV per atom
1.0
5.190 0.032 -0.029
0.034 5.566 -0.036
-0.053 -0.062 9.300
Li Ti O
1 8 16
direct
0.559 0.623 0.600
0.122 0.391 0.628
0.646 0.604 0.887
0.374 0.908 0.368
0.872 0.104 0.129
0.883 0.609 0.365
0.370 0.396 0.130
0.634 0.111 0.635
0.143 0.894 0.870
0.457 0.388 0.734
0.955 0.612 0.768
0.047 0.885 0.270
0.546 0.108 0.232
0.552 0.609 0.269
0.048 0.384 0.234
0.960 0.110 0.732
0.465 0.878 0.763
0.822 0.849 0.993
0.310 0.146 0.510
0.690 0.344 0.013
0.205 0.640 0.494
0.189 0.144 0.010
0.695 0.864 0.488
0.318 0.646 0.991
0.802 0.372 0.515

=====

Entry 4:
K2La2Ti3O10 (PBE, optimized geometry); space-group type = No. 139; formation energy from the elements = -3434 meV/atom
1.0
-2.150 14.791 3.180
-4.420 14.510 -1.857
0.836 -15.251 0.476
K La Ti O
2 2 3 10
direct
0.292 0.292 0.000
0.708 0.708 0.000
0.428 0.428 0.000
0.572 0.572 0.000
0.140 0.140 0.000
0.860 0.860 0.000
0.000 0.000 0.000
0.801 0.801 0.000
0.199 0.199 0.000
0.373 0.873 0.500
0.873 0.373 0.500
0.627 0.127 0.500
0.127 0.627 0.500
0.936 0.936 0.000
0.000 0.500 0.500
0.500 0.000 0.500
0.064 0.064 0.000